{"formula": "MnZn10B8Rh18", "functional": "GGA-PBE", "state": "relaxed", "delta_e_f_ev_per_atom": -0.404, "vol_a3_per_cell": 927.8, "sg": "P4/mbm", "lattice_angstrom": [[17.923, 0.000, 0.000], [0.000, 17.923, 0.000], [0.000, 0.000, 2.888]], "species": ["Rh", "Zn", "Zn", "B", "Zn", "Mn", "Rh", "Rh", "Rh", "Zn", "Rh", "Rh", "Rh", "Zn", "Zn", "Rh", "Rh", "B", "B", "Rh", "Zn", "Rh", "Rh", "Rh", "Rh", "Zn", "Rh", "Rh", "B", "Zn", "B", "Rh", "Rh", "Rh", "Rh", "B", "Rh", "Rh", "Rh", "Rh", "Zn", "Zn", "Zn", "B", "Rh", "B", "Rh", "Rh", "Rh", "Zn", "B", "B", "Zn", "B", "Rh", "Zn", "B", "Zn", "Rh", "Zn", "Rh", "B", "Rh", "Zn", "Zn", "B", "Zn", "Rh", "B", "Rh", "Mn", "Rh", "Rh", "B"], "fractional_positions": [[0.452, 0.826, 0.500], [0.550, 0.050, 0.000], [0.669, 0.169, 0.000], [0.039, 0.666, 0.000], [0.831, 0.669, 0.000], [0.000, 0.000, 0.000], [0.418, 0.082, 0.500], [0.600, 0.432, 0.500], [0.918, 0.418, 0.500], [0.331, 0.831, 0.000], [0.952, 0.674, 0.500], [0.582, 0.918, 0.500], [0.244, 0.588, 0.500], [0.813, 0.032, 0.000], [0.532, 0.313, 0.000], [0.744, 0.912, 0.500], [0.826, 0.548, 0.500], [0.461, 0.166, 0.000], [0.667, 0.375, 0.000], [0.256, 0.088, 0.500], [0.210, 0.710, 0.000], [0.088, 0.744, 0.500], [0.588, 0.756, 0.500], [0.100, 0.068, 0.500], [0.326, 0.952, 0.500], [0.710, 0.790, 0.000], [0.082, 0.582, 0.500], [0.548, 0.174, 0.500], [0.333, 0.625, 0.000], [0.290, 0.210, 0.000], [0.834, 0.461, 0.000], [0.412, 0.244, 0.500], [0.160, 0.211, 0.500], [0.432, 0.400, 0.500], [0.289, 0.340, 0.500], [0.334, 0.039, 0.000], [0.756, 0.412, 0.500], [0.840, 0.789, 0.500], [0.789, 0.160, 0.500], [0.048, 0.326, 0.500], [0.968, 0.813, 0.000], [0.687, 0.532, 0.000], [0.468, 0.687, 0.000], [0.375, 0.333, 0.000], [0.068, 0.900, 0.500], [0.167, 0.125, 0.000], [0.174, 0.452, 0.500], [0.400, 0.568, 0.500], [0.568, 0.600, 0.500], [0.950, 0.550, 0.000], [0.961, 0.334, 0.000], [0.125, 0.833, 0.000], [0.187, 0.968, 0.000], [0.166, 0.539, 0.000], [0.674, 0.048, 0.500], [0.169, 0.331, 0.000], [0.625, 0.667, 0.000], [0.450, 0.950, 0.000], [0.211, 0.840, 0.500], [0.313, 0.468, 0.000], [0.912, 0.256, 0.500], [0.833, 0.875, 0.000], [0.711, 0.660, 0.500], [0.032, 0.187, 0.000], [0.050, 0.450, 0.000], [0.666, 0.961, 0.000], [0.790, 0.290, 0.000], [0.340, 0.711, 0.500], [0.875, 0.167, 0.000], [0.900, 0.932, 0.500], [0.500, 0.500, 0.000], [0.932, 0.100, 0.500], [0.660, 0.289, 0.500], [0.539, 0.834, 0.000]]}

{"formula": "PaAlV2", "functional": "GGA-PBE", "state": "relaxed", "delta_e_f_ev_per_atom": -0.107, "vol_a3_per_cell": 65.1, "sg": "Fm-3m", "lattice_angstrom": [[2.960, -3.041, 1.539], [-0.379, -4.332, -1.211], [3.022, -1.831, -2.810]], "species": ["V", "V", "Pa", "Al"], "fractional_positions": [[0.500, 0.500, 0.500], [0.000, 0.000, 0.000], [0.750, 0.750, 0.750], [0.250, 0.250, 0.250]]}

{"formula": "Na2Ti2Si3Sn2S3O24", "functional": "GGA-PBE", "state": "relaxed", "delta_e_f_ev_per_atom": -2.514, "vol_a3_per_cell": 1525.5, "sg": "P1", "lattice_angstrom": [[-6.622, 1.428, 5.618], [7.307, -4.010, 2.761], [8.966, 20.313, 5.141]], "species": ["O", "O", "O", "O", "Na", "O", "O", "O", "O", "Si", "Sn", "S", "Sn", "Si", "Sn", "S", "Si", "Si", "O", "Ti", "Ti", "O", "O", "O", "O", "O", "O", "S", "S", "O", "Si", "O", "O", "O", "O", "O", "O", "O", "O", "S", "Ti", "O", "Na", "O", "O", "O", "O", "Ti", "O", "O", "O", "O", "Ti", "Na", "O", "O", "Na", "Na", "O", "S", "S", "O", "O", "O", "Na", "Ti", "Si", "O", "O", "O", "O", "S", "Si", "O", "O", "O", "O", "O", "O", "Sn", "O", "O", "O", "O", "O", "O", "O", "O", "O", "O", "O", "O", "O", "O", "S", "O", "O", "O", "O", "Sn", "Sn", "Si", "O", "O", "O", "Si", "O", "O"], "fractional_positions": [[0.151, 0.976, 0.912], [0.841, 0.545, 0.022], [0.630, 0.115, 0.134], [0.024, 0.186, 0.192], [0.006, 0.986, 0.003], [0.509, 0.158, 0.922], [0.131, 0.634, 0.358], [0.964, 0.167, 0.309], [0.643, 0.509, 0.921], [0.622, 0.958, 0.415], [0.664, 0.333, 0.982], [0.954, 0.336, 0.584], [0.319, 0.674, 0.020], [0.330, 0.961, 0.916], [0.346, 0.681, 0.808], [0.671, 0.038, 0.083], [0.954, 0.629, 0.084], [0.010, 0.290, 0.252], [0.862, 0.500, 0.139], [0.009, 0.993, 0.154], [0.984, 0.006, 0.645], [0.173, 0.690, 0.476], [0.362, 0.498, 0.076], [0.030, 0.845, 0.414], [0.167, 0.966, 0.192], [0.486, 0.318, 0.739], [0.491, 0.641, 0.576], [0.339, 0.385, 0.418], [0.624, 0.667, 0.918], [0.018, 0.196, 0.913], [0.715, 0.010, 0.749], [0.816, 0.784, 0.303], [0.816, 0.979, 0.413], [0.633, 0.148, 0.428], [0.360, 0.867, 0.579], [0.523, 0.833, 0.750], [0.365, 0.873, 0.859], [0.179, 0.208, 0.416], [0.130, 0.490, 0.579], [0.375, 0.044, 0.583], [0.647, 0.329, 0.686], [0.297, 0.481, 0.755], [0.315, 0.660, 0.174], [0.124, 0.480, 0.864], [0.871, 0.356, 0.636], [0.841, 0.530, 0.741], [0.693, 0.520, 0.526], [0.683, 0.350, 0.475], [0.150, 0.449, 0.971], [0.514, 0.635, 0.865], [0.301, 0.850, 0.975], [0.844, 0.815, 0.593], [0.314, 0.676, 0.313], [0.652, 0.314, 0.826], [0.023, 0.820, 0.698], [0.361, 0.484, 0.364], [0.344, 0.664, 0.662], [0.991, 0.989, 0.499], [0.699, 0.184, 0.739], [0.370, 0.333, 0.083], [0.042, 0.374, 0.916], [0.974, 0.823, 0.090], [0.810, 0.975, 0.693], [0.163, 0.186, 0.692], [0.670, 0.321, 0.335], [0.354, 0.685, 0.517], [0.666, 0.621, 0.583], [0.825, 0.035, 0.811], [0.201, 0.025, 0.590], [0.496, 0.856, 0.359], [0.515, 0.857, 0.077], [0.994, 0.707, 0.747], [0.052, 0.672, 0.419], [0.483, 0.364, 0.135], [0.971, 0.173, 0.588], [0.854, 0.494, 0.426], [0.797, 0.827, 0.913], [0.190, 0.480, 0.257], [0.317, 0.469, 0.471], [0.014, 0.010, 0.847], [0.460, 0.151, 0.531], [0.195, 0.181, 0.088], [0.537, 0.699, 0.253], [0.149, 0.640, 0.081], [0.531, 0.834, 0.475], [0.228, 0.181, 0.809], [0.846, 0.304, 0.530], [0.312, 0.828, 0.256], [0.795, 0.818, 0.196], [0.210, 0.038, 0.309], [0.868, 0.362, 0.921], [0.482, 0.181, 0.241], [0.154, 0.690, 0.753], [0.692, 0.140, 0.028], [0.708, 0.713, 0.249], [0.963, 0.775, 0.804], [0.485, 0.124, 0.637], [0.444, 0.299, 0.028], [0.642, 0.496, 0.640], [0.004, 0.005, 0.356], [0.681, 0.335, 0.190], [0.287, 0.289, 0.748], [0.687, 0.534, 0.243], [0.838, 0.317, 0.247], [0.495, 0.362, 0.424], [0.294, 0.004, 0.252], [0.542, 0.689, 0.972], [0.828, 0.025, 0.089]]}

{"formula": "SrI2O15", "functional": "GGA-PBE", "state": "relaxed", "delta_e_f_ev_per_atom": -0.028, "e_above_lowest_polymorph_mev_per_atom": 226.8, "vol_a3_per_cell": 723.1, "sg": "P-1", "lattice_angstrom": [[-0.447, -6.129, 1.945], [7.006, 1.576, 7.717], [-6.421, 2.656, 8.388]], "species": ["O", "O", "O", "O", "O", "O", "O", "O", "O", "O", "I", "O", "O", "O", "I", "O", "O", "O", "O", "O", "O", "O", "O", "Sr", "O", "O", "I", "O", "O", "O", "O", "I", "O", "Sr", "O", "O"], "fractional_positions": [[0.349, 0.920, 0.423], [0.973, 0.030, 0.041], [0.292, 0.369, 0.396], [0.446, 0.174, 0.889], [0.310, 0.436, 0.472], [0.500, 0.301, 0.081], [0.037, 0.253, 0.901], [0.138, 0.614, 0.625], [0.490, 0.250, 0.376], [0.855, 0.159, 0.333], [0.751, 0.233, 0.465], [0.708, 0.631, 0.604], [0.500, 0.699, 0.919], [0.027, 0.970, 0.959], [0.249, 0.767, 0.535], [0.510, 0.750, 0.624], [0.145, 0.841, 0.667], [0.963, 0.747, 0.099], [0.383, 0.693, 0.407], [0.351, 0.428, 0.908], [0.232, 0.105, 0.116], [0.159, 0.369, 0.093], [0.862, 0.386, 0.375], [0.222, 0.853, 0.211], [0.651, 0.080, 0.577], [0.617, 0.307, 0.593], [0.726, 0.745, 0.011], [0.023, 0.820, 0.430], [0.768, 0.895, 0.884], [0.841, 0.631, 0.907], [0.690, 0.564, 0.528], [0.274, 0.255, 0.989], [0.649, 0.572, 0.092], [0.778, 0.147, 0.789], [0.554, 0.826, 0.111], [0.977, 0.180, 0.570]]}

{"formula": "PrBe13", "functional": "GGA-PBE", "state": "relaxed", "delta_e_f_ev_per_atom": -0.153, "vol_a3_per_cell": 275.6, "sg": "Fm-3c", "lattice_angstrom": [[-6.091, -4.031, -0.111], [-5.166, 1.325, -4.992], [-1.137, -4.752, -5.430]], "species": ["Be", "Pr", "Be", "Be", "Be", "Be", "Be", "Be", "Be", "Be", "Be", "Be", "Be", "Be", "Be", "Pr", "Be", "Be", "Be", "Be", "Be", "Be", "Be", "Be", "Be", "Be", "Be", "Be"], "fractional_positions": [[0.064, 0.936, 0.288], [0.750, 0.750, 0.750], [0.936, 0.712, 0.288], [0.564, 0.212, 0.788], [0.288, 0.712, 0.064], [0.436, 0.564, 0.788], [0.936, 0.064, 0.712], [0.436, 0.788, 0.212], [0.288, 0.936, 0.712], [0.064, 0.288, 0.712], [0.064, 0.712, 0.936], [0.212, 0.564, 0.436], [0.788, 0.436, 0.564], [0.712, 0.064, 0.288], [0.788, 0.564, 0.212], [0.250, 0.250, 0.250], [0.712, 0.288, 0.936], [0.564, 0.788, 0.436], [0.000, 0.000, 0.000], [0.712, 0.936, 0.064], [0.212, 0.788, 0.564], [0.936, 0.288, 0.064], [0.500, 0.500, 0.500], [0.288, 0.064, 0.936], [0.788, 0.212, 0.436], [0.212, 0.436, 0.788], [0.436, 0.212, 0.564], [0.564, 0.436, 0.212]]}

{"formula": "Cu9Se8", "functional": "GGA-PBE", "state": "relaxed", "delta_e_f_ev_per_atom": -0.190, "e_above_lowest_polymorph_mev_per_atom": 147.2, "vol_a3_per_cell": 344.0, "sg": "P1", "lattice_angstrom": [[3.870, 0.000, 0.000], [-1.933, -3.395, 0.000], [0.099, 2.130, -26.183]], "species": ["Cu", "Cu", "Cu", "Se", "Se", "Se", "Cu", "Se", "Se", "Se", "Cu", "Cu", "Cu", "Se", "Cu", "Se", "Cu"], "fractional_positions": [[0.751, 0.909, 0.343], [0.248, 0.914, 0.838], [0.500, 0.914, 0.590], [0.841, 0.532, 0.623], [0.588, 0.534, 0.868], [0.215, 0.033, 0.746], [0.125, 0.413, 0.465], [0.466, 0.031, 0.498], [0.938, 0.006, 0.996], [0.092, 0.530, 0.374], [0.272, 0.609, 0.032], [0.370, 0.412, 0.219], [0.725, 0.128, 0.153], [0.383, 0.511, 0.122], [0.874, 0.414, 0.715], [0.713, 0.028, 0.250], [0.597, 0.404, 0.958]]}

{"formula": "Ba2LaIrO6", "functional": "GGA-PBE", "state": "relaxed", "delta_e_f_ev_per_atom": -2.712, "e_above_lowest_polymorph_mev_per_atom": 0.0, "vol_a3_per_cell": 161.6, "sg": "C2/m", "lattice_angstrom": [[3.046, 5.285, 0.000], [-3.046, 5.285, 0.000], [0.000, 3.549, 5.019]], "species": ["O", "O", "Ba", "O", "Ba", "La", "Ir", "O", "O", "O"], "fractional_positions": [[0.228, 0.228, 0.229], [0.792, 0.253, 0.705], [0.252, 0.252, 0.746], [0.253, 0.792, 0.705], [0.748, 0.748, 0.254], [0.500, 0.500, 0.000], [0.000, 0.000, 0.500], [0.747, 0.208, 0.295], [0.772, 0.772, 0.771], [0.208, 0.747, 0.295]]}

{"formula": "Tl5Ag3P4S12", "functional": "GGA-PBE", "state": "relaxed", "delta_e_f_ev_per_atom": -0.587, "vol_a3_per_cell": 1226.8, "sg": "C2/c", "lattice_angstrom": [[-10.828, -7.162, -3.963], [-5.828, -12.194, -1.265], [-7.768, -2.126, 10.430]], "species": ["S", "Ag", "P", "S", "P", "P", "S", "S", "Tl", "S", "S", "S", "Tl", "S", "P", "S", "S", "S", "Tl", "S", "S", "Ag", "P", "Ag", "S", "Ag", "S", "S", "Tl", "Tl", "Ag", "Tl", "S", "S", "S", "Tl", "Tl", "S", "S", "P", "S", "P", "S", "Ag", "P", "S", "Tl", "Tl"], "fractional_positions": [[0.645, 0.250, 0.045], [0.271, 0.965, 0.035], [0.099, 0.423, 0.425], [0.263, 0.415, 0.390], [0.841, 0.130, 0.508], [0.577, 0.901, 0.075], [0.585, 0.737, 0.110], [0.250, 0.645, 0.545], [0.967, 0.710, 0.773], [0.572, 0.936, 0.804], [0.833, 0.756, 0.033], [0.750, 0.355, 0.455], [0.550, 0.766, 0.385], [0.167, 0.244, 0.967], [0.159, 0.870, 0.492], [0.891, 0.232, 0.089], [0.881, 0.242, 0.834], [0.737, 0.585, 0.610], [0.502, 0.498, 0.250], [0.244, 0.167, 0.467], [0.756, 0.833, 0.533], [0.015, 0.985, 0.250], [0.901, 0.577, 0.575], [0.985, 0.015, 0.750], [0.064, 0.428, 0.696], [0.729, 0.035, 0.965], [0.758, 0.119, 0.666], [0.355, 0.750, 0.955], [0.766, 0.550, 0.885], [0.498, 0.502, 0.750], [0.965, 0.271, 0.535], [0.033, 0.290, 0.227], [0.232, 0.891, 0.589], [0.428, 0.064, 0.196], [0.242, 0.881, 0.334], [0.450, 0.234, 0.615], [0.710, 0.967, 0.273], [0.415, 0.263, 0.890], [0.119, 0.758, 0.166], [0.130, 0.841, 0.008], [0.768, 0.109, 0.411], [0.423, 0.099, 0.925], [0.936, 0.572, 0.304], [0.035, 0.729, 0.465], [0.870, 0.159, 0.992], [0.109, 0.768, 0.911], [0.234, 0.450, 0.115], [0.290, 0.033, 0.727]]}

{"formula": "HfCrAgS4", "functional": "GGA-PBE", "state": "relaxed", "delta_e_f_ev_per_atom": -1.118, "e_above_lowest_polymorph_mev_per_atom": 114.5, "vol_a3_per_cell": 272.8, "sg": "P2_1/m", "lattice_angstrom": [[4.219, 6.054, -12.039], [0.861, -3.155, -1.285], [-5.796, -1.587, 0.013]], "species": ["S", "S", "S", "Ag", "S", "Ag", "Cr", "S", "S", "Cr", "Hf", "S", "S", "Hf"], "fractional_positions": [[0.632, 0.500, 0.473], [0.163, 0.000, 0.504], [0.871, 0.500, 0.031], [0.019, 0.500, 0.507], [0.361, 0.000, 0.009], [0.481, 0.000, 0.493], [0.252, 0.500, 0.806], [0.629, 0.000, 0.969], [0.337, 0.500, 0.496], [0.248, 0.000, 0.194], [0.747, 0.500, 0.244], [0.868, 0.000, 0.527], [0.139, 0.500, 0.991], [0.753, 0.000, 0.756]]}

{"formula": "Mg6NbSi", "functional": "GGA-PBE", "state": "relaxed", "delta_e_f_ev_per_atom": 0.138, "e_above_lowest_polymorph_mev_per_atom": 13.7, "vol_a3_per_cell": 317.3, "lattice_angstrom": [[5.069, 0.000, 0.000], [0.000, 5.747, 0.000], [0.000, 0.000, 10.892]], "species": ["Mg", "Nb", "Mg", "Mg", "Mg", "Mg", "Mg", "Mg", "Si", "Nb", "Mg", "Mg", "Mg", "Si", "Mg", "Mg"], "fractional_positions": [[0.500, 0.751, 0.923], [0.500, 0.500, 0.175], [0.000, 0.000, 0.825], [0.000, 0.756, 0.581], [0.000, 0.256, 0.081], [0.500, 0.249, 0.923], [0.000, 0.000, 0.322], [0.000, 0.244, 0.581], [0.500, 0.000, 0.169], [0.500, 0.000, 0.675], [0.500, 0.251, 0.423], [0.000, 0.500, 0.822], [0.000, 0.744, 0.081], [0.500, 0.500, 0.669], [0.500, 0.749, 0.423], [0.000, 0.500, 0.325]]}

Please write out number 9 again, unchanged.
{"formula": "HfCrAgS4", "functional": "GGA-PBE", "state": "relaxed", "delta_e_f_ev_per_atom": -1.118, "e_above_lowest_polymorph_mev_per_atom": 114.5, "vol_a3_per_cell": 272.8, "sg": "P2_1/m", "lattice_angstrom": [[4.219, 6.054, -12.039], [0.861, -3.155, -1.285], [-5.796, -1.587, 0.013]], "species": ["S", "S", "S", "Ag", "S", "Ag", "Cr", "S", "S", "Cr", "Hf", "S", "S", "Hf"], "fractional_positions": [[0.632, 0.500, 0.473], [0.163, 0.000, 0.504], [0.871, 0.500, 0.031], [0.019, 0.500, 0.507], [0.361, 0.000, 0.009], [0.481, 0.000, 0.493], [0.252, 0.500, 0.806], [0.629, 0.000, 0.969], [0.337, 0.500, 0.496], [0.248, 0.000, 0.194], [0.747, 0.500, 0.244], [0.868, 0.000, 0.527], [0.139, 0.500, 0.991], [0.753, 0.000, 0.756]]}